(1)
A plane-wave DFT calculation with meta-GGA r2SCAN was carried out for a relaxed structure of DyErRu2.

Unit cell a=4.756 b=4.756 c=4.756 alpha=60.00 beta=60.00 gamma=60.00
Sites, in units of the cell vectors:
Er 0.000 0.000 0.000
Dy 0.500 0.500 0.500
Ru 0.250 0.250 0.250
Ru 0.750 0.750 0.750


(2)
A plane-wave DFT calculation with meta-GGA r2SCAN was carried out for a relaxed structure of YLuRh2.

Unit cell a=4.768 b=4.768 c=4.768 alpha=60.00 beta=60.00 gamma=60.00
Sites, in units of the cell vectors:
Lu 0.500 0.500 0.500
Rh 0.250 0.250 0.250
Y 0.000 0.000 0.000
Rh 0.750 0.750 0.750


(3)
A plane-wave DFT calculation with meta-GGA r2SCAN was carried out for a relaxed structure of CaZnPb.

Unit cell a=4.729 b=4.729 c=7.709 alpha=90.00 beta=90.00 gamma=120.00
Sites, in units of the cell vectors:
Zn 0.333 0.667 0.803
Ca 0.000 0.000 0.990
Pb 0.333 0.667 0.207
Pb 0.667 0.333 0.707
Zn 0.667 0.333 0.303
Ca 0.000 0.000 0.490


(4)
A plane-wave DFT calculation with meta-GGA r2SCAN was carried out for a relaxed structure of Nb3S4.

Output
ΔE to the lowest computed polymorph = 0.000 eV per atom

Unit cell a=9.675 b=9.675 c=3.410 alpha=90.00 beta=90.00 gamma=120.00
Sites, in units of the cell vectors:
Nb 0.888 0.373 0.250
S 0.346 0.288 0.250
S 0.712 0.058 0.250
S 0.058 0.346 0.750
Nb 0.627 0.515 0.250
S 0.333 0.667 0.250
S 0.288 0.942 0.750
Nb 0.112 0.627 0.750
S 0.654 0.712 0.750
Nb 0.515 0.888 0.750
S 0.942 0.654 0.250
S 0.667 0.333 0.750
Nb 0.373 0.485 0.750
Nb 0.485 0.112 0.250


(5)
A plane-wave DFT calculation with meta-GGA r2SCAN was carried out for a relaxed structure of NiP4O11.

Unit cell a=8.011 b=9.363 c=13.135 alpha=56.35 beta=90.00 gamma=90.00
Sites, in units of the cell vectors:
P 0.125 0.330 0.958
O 0.960 0.774 0.923
O 0.948 0.831 0.268
Ni 0.014 0.753 0.780
O 0.987 0.467 0.663
O 0.569 0.750 0.620
P 0.385 0.864 0.824
O 0.448 0.169 0.232
O 0.179 0.275 0.480
O 0.931 0.750 0.120
Ni 0.486 0.753 0.280
O 0.395 0.693 0.964
O 0.513 0.467 0.163
P 0.115 0.864 0.324
P 0.615 0.136 0.176
O 0.487 0.533 0.837
O 0.213 0.365 0.210
Ni 0.514 0.247 0.720
O 0.895 0.307 0.536
O 0.460 0.226 0.577
O 0.918 0.988 0.668
O 0.787 0.635 0.790
O 0.431 0.250 0.380
O 0.383 0.518 0.380
P 0.500 0.330 0.928
O 0.571 0.246 0.872
O 0.429 0.754 0.128
O 0.679 0.725 0.020
P 0.875 0.670 0.042
O 0.241 0.851 0.763
P 0.375 0.330 0.458
P 0.388 0.314 0.245
O 0.821 0.725 0.520
O 0.741 0.149 0.737
O 0.040 0.226 0.077
O 0.929 0.246 0.372
O 0.418 0.012 0.832
O 0.069 0.250 0.880
O 0.013 0.533 0.337
P 0.500 0.670 0.072
O 0.540 0.774 0.423
O 0.321 0.275 0.980
P 0.625 0.670 0.542
O 0.552 0.831 0.768
O 0.287 0.365 0.710
O 0.105 0.693 0.464
O 0.259 0.851 0.263
O 0.071 0.754 0.628
O 0.117 0.518 0.880
O 0.052 0.169 0.732
O 0.883 0.482 0.120
O 0.617 0.482 0.620
P 0.885 0.136 0.676
Ni 0.986 0.247 0.220
P 0.612 0.686 0.755
O 0.759 0.149 0.237
O 0.713 0.635 0.290
O 0.605 0.307 0.036
O 0.582 0.988 0.168
O 0.082 0.012 0.332
P 0.112 0.314 0.745
P 0.000 0.330 0.428
P 0.000 0.670 0.572
P 0.888 0.686 0.255


(6)
A plane-wave DFT calculation with meta-GGA r2SCAN was carried out for a relaxed structure of YSeF.

Unit cell a=4.094 b=9.980 c=13.069 alpha=74.94 beta=90.00 gamma=90.00
Sites, in units of the cell vectors:
Se 0.250 0.585 0.730
Se 0.750 0.415 0.270
F 0.250 0.932 0.797
F 0.750 0.900 0.709
Y 0.750 0.623 0.386
F 0.750 0.448 0.544
Y 0.750 0.456 0.873
Y 0.250 0.039 0.121
F 0.750 0.068 0.203
Y 0.750 0.118 0.362
Y 0.250 0.377 0.614
Y 0.250 0.882 0.638
F 0.250 0.985 0.961
Y 0.750 0.961 0.879
Se 0.750 0.671 0.981
F 0.750 0.015 0.039
Se 0.250 0.329 0.019
F 0.250 0.552 0.456
Se 0.250 0.758 0.235
Se 0.250 0.160 0.512
Y 0.250 0.544 0.127
Se 0.750 0.840 0.488
F 0.250 0.100 0.291
Se 0.750 0.242 0.765


(7)
A plane-wave DFT calculation with meta-GGA r2SCAN was carried out for a relaxed structure of K3AlAs2.

Unit cell a=9.057 b=12.160 c=15.556 alpha=72.56 beta=73.09 gamma=72.01
Sites, in units of the cell vectors:
As 0.674 0.013 0.538
Al 0.639 0.268 0.946
Al 0.157 0.388 0.509
K 0.178 0.601 0.307
Al 0.593 0.857 0.492
As 0.484 0.295 0.842
As 0.009 0.167 0.184
As 0.904 0.409 0.459
K 0.463 0.917 0.257
K 0.679 0.916 0.976
K 0.345 0.917 0.692
K 0.827 0.624 0.979
K 0.019 0.892 0.413
K 0.163 0.425 0.756
K 0.220 0.751 0.619
K 0.837 0.575 0.244
Al 0.150 0.781 0.924
As 0.634 0.126 0.093
K 0.537 0.083 0.743
As 0.991 0.833 0.816
Al 0.850 0.219 0.076
K 0.512 0.379 0.584
As 0.589 0.660 0.608
K 0.030 0.099 0.851
Al 0.361 0.732 0.054
K 0.192 0.237 0.319
K 0.822 0.399 0.693
As 0.326 0.987 0.462
K 0.485 0.574 0.844
Al 0.407 0.143 0.508
K 0.808 0.763 0.681
K 0.321 0.084 0.024
As 0.157 0.630 0.069
K 0.515 0.426 0.156
K 0.981 0.108 0.587
K 0.173 0.376 0.021
K 0.488 0.621 0.416
K 0.655 0.083 0.308
As 0.411 0.340 0.392
As 0.843 0.370 0.931
As 0.781 0.780 0.356
As 0.096 0.591 0.541
As 0.366 0.874 0.907
As 0.516 0.705 0.158
K 0.780 0.249 0.381
As 0.219 0.220 0.644
K 0.970 0.901 0.149
Al 0.843 0.612 0.491


(8)
A plane-wave DFT calculation with meta-GGA r2SCAN was carried out for a relaxed structure of RbCu3S2.

Unit cell a=3.886 b=7.549 c=8.456 alpha=110.99 beta=90.00 gamma=104.91
Sites, in units of the cell vectors:
S 0.809 0.618 0.320
Rb 0.135 0.270 0.043
Cu 0.934 0.868 0.587
S 0.475 0.949 0.749
S 0.525 0.051 0.251
Cu 0.690 0.381 0.426
Rb 0.865 0.730 0.957
Cu 0.310 0.619 0.574
Cu 0.066 0.132 0.413
S 0.191 0.382 0.680
Cu 0.407 0.814 0.365
Cu 0.593 0.186 0.635


(9)
A plane-wave DFT calculation with meta-GGA r2SCAN was carried out for a relaxed structure of Rb2PuO4.

Unit cell a=7.558 b=7.558 c=7.558 alpha=146.79 beta=146.72 gamma=47.73
Sites, in units of the cell vectors:
O 0.000 0.500 0.500
Rb 0.651 0.651 0.000
O 0.137 0.137 0.000
Rb 0.349 0.349 0.000
Pu 0.000 0.000 0.000
O 0.863 0.863 0.000
O 0.500 0.000 0.500


(10)
A plane-wave DFT calculation with meta-GGA r2SCAN was carried out for a relaxed structure of Ho2WO6.

Output
ΔE to the lowest computed polymorph = 0.018 eV per atom

Unit cell a=5.194 b=9.014 c=9.850 alpha=90.00 beta=90.00 gamma=90.00
Sites, in units of the cell vectors:
W 0.539 0.495 0.847
W 0.961 0.505 0.347
O 0.268 0.614 0.932
O 0.180 0.862 0.681
O 0.177 0.547 0.202
Ho 0.519 0.103 0.966
Ho 0.462 0.719 0.128
Ho 0.981 0.897 0.466
O 0.320 0.138 0.181
O 0.677 0.953 0.798
O 0.194 0.859 0.265
O 0.768 0.886 0.068
O 0.694 0.641 0.735
O 0.252 0.090 0.505
O 0.323 0.453 0.702
O 0.806 0.359 0.235
Ho 0.538 0.219 0.372
O 0.085 0.657 0.470
O 0.915 0.157 0.030
W 0.039 0.005 0.153
O 0.232 0.386 0.432
O 0.248 0.910 0.005
Ho 0.038 0.281 0.628
O 0.732 0.114 0.568
Ho 0.481 0.603 0.534
O 0.306 0.141 0.765
O 0.585 0.843 0.530
O 0.820 0.362 0.819
O 0.752 0.410 0.495
O 0.680 0.638 0.319
W 0.461 0.995 0.653
O 0.748 0.590 0.995
Ho 0.962 0.781 0.872
Ho 0.019 0.397 0.034
O 0.823 0.047 0.298
O 0.415 0.343 0.970


(11)
A plane-wave DFT calculation with meta-GGA r2SCAN was carried out for a relaxed structure of CaSiO3.

Unit cell a=7.084 b=7.325 c=7.933 alpha=103.40 beta=95.28 gamma=90.05
Sites, in units of the cell vectors:
Ca 0.761 0.423 0.200
Si 0.731 0.612 0.815
Si 0.730 0.046 0.815
Si 0.269 0.388 0.185
O 0.227 0.179 0.220
O 0.201 0.768 0.571
O 0.535 0.063 0.698
Ca 0.471 0.249 0.495
O 0.170 0.274 0.597
Ca 0.239 0.577 0.800
O 0.465 0.937 0.302
O 0.773 0.821 0.780
O 0.536 0.536 0.697
Ca 0.236 0.070 0.796
O 0.464 0.464 0.303
O 0.830 0.726 0.403
O 0.735 0.627 0.019
Ca 0.529 0.751 0.505
O 0.093 0.513 0.272
Si 0.943 0.277 0.603
Si 0.270 0.954 0.185
O 0.906 0.129 0.729
O 0.736 0.133 0.020
O 0.264 0.867 0.980
O 0.799 0.232 0.429
O 0.265 0.373 0.981
O 0.907 0.487 0.728
O 0.094 0.871 0.271
Si 0.057 0.723 0.397
Ca 0.764 0.930 0.204


(12)
A plane-wave DFT calculation with meta-GGA r2SCAN was carried out for a relaxed structure of CrAuS2.

Unit cell a=7.396 b=7.396 c=7.396 alpha=27.70 beta=27.70 gamma=27.70
Sites, in units of the cell vectors:
S 0.108 0.108 0.108
Cr 0.500 0.500 0.500
Au 0.000 0.000 0.000
S 0.892 0.892 0.892


no.,ΔE_f (meV/atom)
1,-404.2
2,-976.6
3,-481.2
4,-1238.7
5,-2148.8
6,-3195.6
7,-667.0
8,-558.5
9,-2525.9
10,-3331.6
11,-3286.5
12,-740.7